No. 1
Material: Tb2Zr2O7
Method: DFT, GGA-PBE
State: relaxed

The structure in POSCAR format:
```
Tb2Zr2O7
1.0
10.4874 0.0000 0.0000
0.0000 10.4874 0.0000
0.0000 0.0000 5.4572
Tb Zr O
8 8 28
direct
0.1247 0.6247 0.0000 Tb
0.1247 0.8753 0.5000 Tb
0.3753 0.6247 0.5000 Tb
0.3753 0.8753 0.0000 Tb
0.6247 0.1247 0.0000 Tb
0.6247 0.3753 0.5000 Tb
0.8753 0.1247 0.5000 Tb
0.8753 0.3753 0.0000 Tb
0.1113 0.1113 0.0198 Zr
0.1113 0.3887 0.5198 Zr
0.3887 0.1113 0.5198 Zr
0.3887 0.3887 0.0198 Zr
0.6113 0.6113 0.9802 Zr
0.6113 0.8887 0.4802 Zr
0.8887 0.6113 0.4802 Zr
0.8887 0.8887 0.9802 Zr
0.0046 0.0046 0.7676 O
0.0046 0.4954 0.2676 O
0.0389 0.2444 0.2838 O
0.0389 0.2556 0.7838 O
0.2444 0.0389 0.2838 O
0.2444 0.4611 0.7838 O
0.2500 0.7500 0.2500 O
0.2500 0.7500 0.7500 O
0.2556 0.0389 0.7838 O
0.2556 0.4611 0.2838 O
0.4611 0.2444 0.7838 O
0.4611 0.2556 0.2838 O
0.4954 0.0046 0.2676 O
0.4954 0.4954 0.7676 O
0.5046 0.5046 0.2324 O
0.5046 0.9954 0.7324 O
0.5389 0.7444 0.7162 O
0.5389 0.7556 0.2162 O
0.7444 0.5389 0.7162 O
0.7444 0.9611 0.2162 O
0.7500 0.2500 0.2500 O
0.7500 0.2500 0.7500 O
0.7556 0.5389 0.2162 O
0.7556 0.9611 0.7162 O
0.9611 0.7444 0.2162 O
0.9611 0.7556 0.7162 O
0.9954 0.5046 0.7324 O
0.9954 0.9954 0.2324 O
```

Mass density: 6.78 g/cm3
Crystal system: tetragonal
SG: P4_2/ncm (138)
Energy of formation: -88.57 kcal/mol of atoms
V: 13.6 A^3/atom

No. 2
Material: CaH6C2O7
Method: DFT, GGA-PBE
State: relaxed

The structure in POSCAR format:
```
CaH6C2O7
1.0
6.2302 0.0000 0.0000
2.5597 6.7494 0.0000
2.9144 1.2350 7.8683
Ca H C O
2 12 4 14
direct
0.0998 0.2718 0.1941 Ca
0.9002 0.7282 0.8059 Ca
0.1460 0.2176 0.8390 H
0.2028 0.0043 0.5818 H
0.2397 0.9874 0.9250 H
0.3076 0.8550 0.3728 H
0.3575 0.8120 0.6804 H
0.4776 0.8772 0.1863 H
0.5224 0.1228 0.8137 H
0.6425 0.1880 0.3196 H
0.6924 0.1450 0.6272 H
0.7603 0.0126 0.0750 H
0.7972 0.9957 0.4182 H
0.8540 0.7824 0.1610 H
0.0564 0.3993 0.5520 C
0.4203 0.5729 0.9428 C
0.5797 0.4271 0.0572 C
0.9436 0.6007 0.4480 C
0.0613 0.4091 0.6978 O
0.1336 0.2440 0.4827 O
0.2117 0.1269 0.9346 O
0.2345 0.5341 0.9497 O
0.2360 0.8555 0.6168 O
0.3076 0.9082 0.2536 O
0.4908 0.7217 0.8505 O
0.5092 0.2783 0.1495 O
0.6924 0.0918 0.7464 O
0.7640 0.1445 0.3832 O
0.7655 0.4659 0.0503 O
0.7883 0.8731 0.0654 O
0.8664 0.7560 0.5173 O
0.9387 0.5909 0.3022 O
```

Mass density: 1.83 g/cm3
Crystal system: triclinic
SG: P-1 (2)
Energy of formation: -39.02 kcal/mol of atoms
V: 10.3 A^3/atom

No. 3
Material: Na2Gd2MgTi3O10
Method: DFT, GGA-PBE
State: relaxed

The structure in POSCAR format:
```
Na2Gd2MgTi3O10
1.0
-1.9525 1.9525 15.7088
1.9525 -1.9525 15.7088
1.9525 1.9525 -15.7088
Na Gd Mg Ti O
2 2 1 3 10
direct
0.0000 0.0000 0.0000 Na
0.4324 0.4324 0.0000 Na
0.1176 0.1176 0.0000 Gd
0.3142 0.3142 0.0000 Gd
0.2154 0.2154 0.0000 Mg
0.5612 0.5612 0.0000 Ti
0.7165 0.7165 0.0000 Ti
0.8711 0.8711 0.0000 Ti
0.0765 0.5765 0.5000 O
0.2158 0.7158 0.5000 O
0.3549 0.8549 0.5000 O
0.5051 0.5051 0.0000 O
0.5765 0.0765 0.5000 O
0.6498 0.6498 0.0000 O
0.7158 0.2158 0.5000 O
0.7813 0.7813 0.0000 O
0.8549 0.3549 0.5000 O
0.9273 0.9273 0.0000 O
```

Mass density: 4.77 g/cm3
Crystal system: tetragonal
SG: I4mm (107)
Energy of formation: -69.10 kcal/mol of atoms
V: 13.3 A^3/atom

No. 4
Material: Mn7Pd9
Method: DFT, GGA-PBE
State: relaxed

The structure in POSCAR format:
```
Mn7Pd9
1.0
-3.7635 3.7635 3.8183
3.7635 -3.7635 3.8183
3.7635 3.7635 -3.8183
Mn Pd
7 9
direct
0.0000 0.0000 0.0000 Mn
0.0000 0.5000 0.5000 Mn
0.2443 0.2443 0.4886 Mn
0.2443 0.7557 0.0000 Mn
0.5000 0.0000 0.5000 Mn
0.7557 0.2443 0.0000 Mn
0.7557 0.7557 0.5114 Mn
0.0095 0.7565 0.2529 Pd
0.2435 0.4964 0.2529 Pd
0.2435 0.9905 0.7471 Pd
0.4964 0.2435 0.2529 Pd
0.5000 0.5000 0.0000 Pd
0.5036 0.7565 0.7471 Pd
0.7565 0.0095 0.2529 Pd
0.7565 0.5036 0.7471 Pd
0.9905 0.2435 0.7471 Pd
```

Mass density: 10.30 g/cm3
Crystal system: tetragonal
SG: I4/mmm (139)
Energy of formation: -0.68 kcal/mol of atoms
V: 13.5 A^3/atom

No. 5
Material: ErCdHg2
Method: DFT, GGA-PBE
State: relaxed

The structure in POSCAR format:
```
ErCdHg2
1.0
0.0000 3.5918 3.5918
3.5918 0.0000 3.5918
3.5918 3.5918 0.0000
Er Cd Hg
1 1 2
direct
0.0000 0.0000 0.0000 Er
0.5000 0.5000 0.5000 Cd
0.2500 0.2500 0.2500 Hg
0.7500 0.7500 0.7500 Hg
```

Mass density: 12.20 g/cm3
Crystal system: cubic
SG: Fm-3m (225)
Energy of formation: -7.96 kcal/mol of atoms
V: 23.2 A^3/atom

No. 6
Material: SrAuO3
Method: DFT, GGA-PBE
State: relaxed

The structure in POSCAR format:
```
SrAuO3
1.0
4.1358 0.0000 0.0000
0.0000 4.1358 0.0000
0.0000 0.0000 4.1358
Sr Au O
1 1 3
direct
0.0000 0.0000 0.0000 Sr
0.5000 0.5000 0.5000 Au
0.0000 0.5000 0.5000 O
0.5000 0.0000 0.5000 O
0.5000 0.5000 0.0000 O
```

Mass density: 7.81 g/cm3
Crystal system: cubic
SG: Pm-3m (221)
Energy of formation: -32.78 kcal/mol of atoms
V: 14.1 A^3/atom

No. 7
Material: UPBrO6
Method: DFT, GGA-PBE
State: relaxed

The structure in POSCAR format:
```
UPBrO6
1.0
-6.6615 6.6615 3.5272
6.6615 -6.6615 3.5272
6.6615 6.6615 -3.5272
U P Br O
4 4 4 24
direct
0.1597 0.3660 0.5287 U
0.3690 0.8403 0.2063 U
0.6340 0.1627 0.7937 U
0.8373 0.6310 0.4713 U
0.1994 0.6374 0.8367 P
0.3626 0.1993 0.5620 P
0.6372 0.8006 0.4380 P
0.8007 0.3628 0.1633 P
0.1513 0.2225 0.9029 Br
0.3196 0.2485 0.0971 Br
0.7515 0.8487 0.0711 Br
0.7775 0.6804 0.9289 Br
0.0297 0.4272 0.4586 O
0.0389 0.5149 0.1893 O
0.1036 0.2261 0.3507 O
0.1503 0.9611 0.4759 O
0.2123 0.5152 0.7375 O
0.2471 0.8964 0.1225 O
0.3066 0.6835 0.9916 O
0.3165 0.3082 0.6231 O
0.3256 0.8497 0.8107 O
0.4289 0.9703 0.3975 O
0.4848 0.2223 0.6972 O
0.4851 0.6744 0.5241 O
0.5058 0.3176 0.4696 O
0.5252 0.7877 0.3028 O
0.5728 0.0314 0.6025 O
0.6824 0.1520 0.1882 O
0.6850 0.6934 0.3769 O
0.6918 0.3150 0.0084 O
0.7739 0.1246 0.8775 O
0.7777 0.4748 0.2625 O
0.8480 0.0362 0.5304 O
0.8754 0.7529 0.6493 O
0.9638 0.4942 0.8118 O
0.9686 0.5711 0.5414 O
```

Mass density: 4.72 g/cm3
Crystal system: tetragonal
SG: I-4 (82)
Energy of formation: -57.56 kcal/mol of atoms
V: 17.4 A^3/atom

No. 8
Material: Rb2AsAuF6
Method: DFT, GGA-PBE
State: relaxed

The structure in POSCAR format:
```
Rb2AsAuF6
1.0
0.0000 4.5567 4.5567
4.5567 0.0000 4.5567
4.5567 4.5567 0.0000
Rb As Au F
2 1 1 6
direct
0.2500 0.2500 0.2500 Rb
0.7500 0.7500 0.7500 Rb
0.0000 0.0000 0.0000 As
0.5000 0.5000 0.5000 Au
0.2258 0.2258 0.7742 F
0.2258 0.7742 0.2258 F
0.2258 0.7742 0.7742 F
0.7742 0.2258 0.2258 F
0.7742 0.2258 0.7742 F
0.7742 0.7742 0.2258 F
```

Mass density: 4.89 g/cm3
Crystal system: cubic
SG: Fm-3m (225)
Energy of formation: -52.05 kcal/mol of atoms
V: 18.9 A^3/atom

No. 9
Material: ZrBrO
Method: DFT, GGA-PBE
State: relaxed

The structure in POSCAR format:
```
ZrBrO
1.0
1.8775 1.0840 9.6426
-1.8775 1.0840 9.6426
0.0000 -2.1679 9.6426
Zr Br O
2 2 2
direct
0.1236 0.1236 0.1236 Zr
0.8764 0.8764 0.8764 Zr
0.3909 0.3909 0.3909 Br
0.6091 0.6091 0.6091 Br
0.1995 0.1995 0.1995 O
0.8005 0.8005 0.8005 O
```

Mass density: 5.28 g/cm3
Crystal system: trigonal
SG: R-3m (166)
Energy of formation: -56.15 kcal/mol of atoms
V: 19.6 A^3/atom

No. 10
Material: Na3Ca4TiSi4O16F2
Method: DFT, GGA-PBE
State: relaxed

The structure in POSCAR format:
```
Na3Ca4TiSi4O16F2
1.0
7.4584 0.0000 0.0000
0.0000 5.6899 0.0000
-0.0073 0.0000 18.8192
Na Ca Ti Si O F
6 8 2 8 32 4
direct
0.1123 0.0000 0.2471 Na
0.1231 0.0081 0.7507 Na
0.3588 0.5069 0.7540 Na
0.6412 0.0069 0.2460 Na
0.8769 0.5081 0.2493 Na
0.8877 0.5000 0.7529 Na
0.1261 0.3585 0.5655 Ca
0.1279 0.6597 0.9383 Ca
0.3761 0.1598 0.0600 Ca
0.3770 0.8422 0.4478 Ca
0.6230 0.3422 0.5522 Ca
0.6239 0.6598 0.9400 Ca
0.8721 0.1597 0.0617 Ca
0.8739 0.8585 0.4345 Ca
0.3769 0.4702 0.2365 Ti
0.6231 0.9702 0.7635 Ti
0.0913 0.6545 0.1086 Si
0.0923 0.3615 0.3913 Si
0.3405 0.8591 0.6122 Si
0.3408 0.1551 0.8896 Si
0.6592 0.6551 0.1104 Si
0.6595 0.3591 0.3878 Si
0.9077 0.8615 0.6087 Si
0.9087 0.1545 0.8914 Si
0.1225 0.5730 0.4482 O
0.1227 0.8564 0.6323 O
0.1242 0.1519 0.8697 O
0.1298 0.4292 0.0573 O
0.1309 0.8968 0.0654 O
0.1411 0.1055 0.4242 O
0.1898 0.6447 0.1863 O
0.1912 0.4021 0.3133 O
0.3605 0.7368 0.3205 O
0.3721 0.2045 0.1908 O
0.3752 0.0791 0.5589 O
0.3818 0.3984 0.9320 O
0.3817 0.9299 0.9402 O
0.3859 0.6127 0.5720 O
0.4358 0.1475 0.8112 O
0.4370 0.8815 0.6905 O
0.5630 0.3815 0.3095 O
0.5642 0.6475 0.1888 O
0.6141 0.1127 0.4280 O
0.6183 0.4299 0.0598 O
0.6182 0.8984 0.0680 O
0.6248 0.5791 0.4411 O
0.6279 0.7045 0.8092 O
0.6395 0.2368 0.6795 O
0.8088 0.9021 0.6867 O
0.8102 0.1447 0.8137 O
0.8589 0.6055 0.5758 O
0.8691 0.3968 0.9346 O
0.8702 0.9292 0.9427 O
0.8758 0.6519 0.1303 O
0.8773 0.3564 0.3677 O
0.8775 0.0730 0.5518 O
0.1215 0.6658 0.8165 F
0.1261 0.3483 0.6862 F
0.8739 0.8483 0.3138 F
0.8785 0.1658 0.1835 F
```

Mass density: 2.84 g/cm3
Crystal system: monoclinic
SG: P2_1 (4)
Energy of formation: -70.95 kcal/mol of atoms
V: 13.3 A^3/atom

No. 11
Material: SrCa3IrO6
Method: DFT, GGA-PBE
State: relaxed

The structure in POSCAR format:
```
SrCa3IrO6
1.0
4.6534 -4.7958 0.0000
4.6534 4.7958 0.0000
-0.1463 0.0000 6.7201
Sr Ca Ir O
2 6 2 12
direct
0.1835 0.1835 0.1357 Sr
0.8165 0.8165 0.8643 Sr
0.3194 0.0412 0.6391 Ca
0.3186 0.6814 0.0000 Ca
0.4575 0.5425 0.5000 Ca
0.6774 0.3226 0.0000 Ca
0.8173 0.1827 0.5000 Ca
0.9588 0.6806 0.3609 Ca
0.0693 0.4352 0.7479 Ir
0.5648 0.9307 0.2521 Ir
0.0093 0.5116 0.0414 O
0.1245 0.3641 0.4597 O
0.1514 0.7265 0.6925 O
0.2735 0.8486 0.3075 O
0.3641 0.3819 0.8205 O
0.4884 0.9907 0.9586 O
0.5187 0.2253 0.3273 O
0.6181 0.6359 0.1795 O
0.6359 0.8755 0.5403 O
0.7747 0.4813 0.6727 O
0.8576 0.0062 0.2025 O
0.9938 0.1424 0.7975 O
```

Mass density: 5.49 g/cm3
Crystal system: monoclinic
SG: C2 (5)
Energy of formation: -62.70 kcal/mol of atoms
V: 13.6 A^3/atom

No. 12
Material: Ba2C4O9
Method: DFT, GGA-PBE
State: relaxed

The structure in POSCAR format:
```
Ba2C4O9
1.0
6.5043 0.0000 0.0000
0.2911 9.1766 0.0000
1.4542 3.6191 8.4907
Ba C O
4 8 18
direct
0.1542 0.1871 0.0125 Ba
0.2411 0.4445 0.3341 Ba
0.7589 0.5555 0.6659 Ba
0.8458 0.8129 0.9875 Ba
0.0582 0.1805 0.6525 C
0.2145 0.6021 0.8306 C
0.3459 0.6706 0.9174 C
0.4849 0.8323 0.3230 C
0.5151 0.1677 0.6770 C
0.6541 0.3294 0.0826 C
0.7855 0.3979 0.1694 C
0.9418 0.8195 0.3475 C
0.0239 0.0850 0.8032 O
0.0278 0.6473 0.8229 O
0.0337 0.6835 0.3932 O
0.1865 0.1445 0.5533 O
0.2455 0.7022 0.0297 O
0.2982 0.5011 0.7803 O
0.4588 0.3152 0.1251 O
0.4774 0.6994 0.4129 O
0.4849 0.9606 0.2246 O
0.5151 0.0394 0.7754 O
0.5226 0.3006 0.5871 O
0.5412 0.6848 0.8749 O
0.7018 0.4989 0.2197 O
0.7545 0.2978 0.9703 O
0.8135 0.8555 0.4467 O
0.9663 0.3165 0.6068 O
0.9722 0.3527 0.1771 O
0.9761 0.9150 0.1968 O
```

Mass density: 3.06 g/cm3
Crystal system: triclinic
SG: P-1 (2)
Energy of formation: -50.89 kcal/mol of atoms
Excess energy over the best structure of this formula in the dataset: 0.00 kcal/mol of atoms
V: 16.9 A^3/atom